# RbAlO3 | the Materials Project database | PBE | relaxed
data_RbAlO3
_chemical_formula_sum 'Rb1 Al1 O3'
_symmetry_space_group_name_H-M 'P m -3 m'
_symmetry_Int_Tables_number 221
_symmetry_space_group_name_Hall '-P 4 2 3'
_cell_length_a 3.9441
_cell_length_b 3.9441
_cell_length_c 3.9441
_cell_angle_alpha 90.00
_cell_angle_beta 90.00
_cell_angle_gamma 90.00
loop_
_atom_site_label
_atom_site_fract_x
_atom_site_fract_y
_atom_site_fract_z
Rb1 0.0000 0.0000 0.0000
Al1 0.5000 0.5000 0.5000
O1 0.0000 0.5000 0.5000
# Crystal system ... cubic
# E (MP2020) ... -5.84 eV per atom


# HfZrRu2 | the Materials Project database | PBE | relaxed
data_HfZrRu2
_chemical_formula_sum 'Hf4 Zr4 Ru8'
_symmetry_space_group_name_H-M 'F m -3 m'
_symmetry_Int_Tables_number 225
_symmetry_space_group_name_Hall '-F 4 2 3'
_cell_length_a 6.5367
_cell_length_b 6.5367
_cell_length_c 6.5367
_cell_angle_alpha 90.00
_cell_angle_beta 90.00
_cell_angle_gamma 90.00
loop_
_atom_site_label
_atom_site_fract_x
_atom_site_fract_y
_atom_site_fract_z
Hf1 0.0000 0.0000 0.0000
Zr1 0.0000 0.0000 0.5000
Ru1 0.2500 0.2500 0.2500
# Crystal system ... cubic


# RbCaBr3 | the Materials Project database | PBE | relaxed
data_RbCaBr3
_chemical_formula_sum 'Rb1 Ca1 Br3'
_symmetry_space_group_name_H-M 'P m -3 m'
_symmetry_Int_Tables_number 221
_symmetry_space_group_name_Hall '-P 4 2 3'
_cell_length_a 5.7367
_cell_length_b 5.7367
_cell_length_c 5.7367
_cell_angle_alpha 90.00
_cell_angle_beta 90.00
_cell_angle_gamma 90.00
loop_
_atom_site_label
_atom_site_fract_x
_atom_site_fract_y
_atom_site_fract_z
Rb1 0.0000 0.0000 0.0000
Ca1 0.5000 0.5000 0.5000
Br1 0.0000 0.5000 0.5000
# Crystal system ... cubic
# E (MP2020) ... -3.84 eV per atom


# TbB3H18C2S | the Materials Project database | PBE | relaxed
data_TbB3H18C2S
_chemical_formula_sum 'Tb4 B12 H72 C8 S4'
_symmetry_space_group_name_H-M 'P 1 21/c 1'
_symmetry_Int_Tables_number 14
_symmetry_space_group_name_Hall '-P 2ybc'
_cell_length_a 5.5321
_cell_length_b 22.7315
_cell_length_c 8.1855
_cell_angle_alpha 90.00
_cell_angle_beta 100.15
_cell_angle_gamma 90.00
loop_
_atom_site_label
_atom_site_fract_x
_atom_site_fract_y
_atom_site_fract_z
Tb1 0.1812 0.1659 0.1177
B1 0.1781 0.2451 0.3771
B2 0.3009 0.0835 0.3133
B3 0.3345 0.6682 0.4347
H1 0.0019 0.1370 0.6132
H2 0.0077 0.7215 0.2005
H3 0.1122 0.1082 0.3400
H4 0.1340 0.0019 0.7079
H5 0.1621 0.2019 0.8472
H6 0.1872 0.2338 0.5251
H7 0.2051 0.6349 0.3385
H8 0.2206 0.6956 0.5263
H9 0.2258 0.5797 0.9235
H10 0.2577 0.0682 0.1648
H11 0.2827 0.6448 0.8138
H12 0.3049 0.0100 0.9130
H13 0.3565 0.0600 0.7529
H14 0.3612 0.0424 0.4040
H15 0.3689 0.2273 0.3367
H16 0.4249 0.7048 0.3528
H17 0.4609 0.1220 0.3233
H18 0.4920 0.6379 0.5219
C1 0.1415 0.6135 0.8363
C2 0.2189 0.0337 0.8013
S1 0.0189 0.5794 0.6399
# Crystal system ... monoclinic
# E (MP2020) ... -4.60 eV per atom


For reference, calculated formation energy by record: -1.9254; -0.7263; -2.2605; -0.2635 eV per atom.